# Li4TiS4 (PBE-GGA, optimized geometry)
data_Li4TiS4
_symmetry_space_group_name_H-M 'P 1 21/c 1'
_symmetry_Int_Tables_number 14
_symmetry_space_group_name_Hall '-P 2ybc'
_cell_length_a 7.235
_cell_length_b 7.226
_cell_length_c 13.045
_cell_angle_alpha 90.00
_cell_angle_beta 102.82
_cell_angle_gamma 90.00
loop_
_atom_site_label
_atom_site_type_symbol
_atom_site_fract_x
_atom_site_fract_y
_atom_site_fract_z
_atom_site_occupancy
Li1 Li 0.001 0.018 0.364 1
Li2 Li 0.177 0.080 0.111 1
Li3 Li 0.398 0.725 0.859 1
Li4 Li 0.419 0.684 0.112 1
Ti1 Ti 0.211 0.100 0.876 1
S1 S 0.078 0.667 0.723 1
S2 S 0.185 0.656 0.471 1
S3 S 0.299 0.153 0.485 1
S4 S 0.424 0.047 0.773 1
# energy relative to the elements: -1.4889 eV per atom
# size of the total moment: 0.0 μB/cell
# E_tot: -4.83 eV per atom
# total energy after the MP2020 corrections: -181.91 eV for the cell shown


# LiTi2S4 (PBE-GGA, optimized geometry)
data_LiTi2S4
_symmetry_space_group_name_H-M 'C 1 2/m 1'
_symmetry_Int_Tables_number 12
_symmetry_space_group_name_Hall '-C 2y'
_cell_length_a 13.761
_cell_length_b 3.423
_cell_length_c 5.910
_cell_angle_alpha 90.00
_cell_angle_beta 114.59
_cell_angle_gamma 90.00
loop_
_atom_site_label
_atom_site_type_symbol
_atom_site_fract_x
_atom_site_fract_y
_atom_site_fract_z
_atom_site_occupancy
Li1 Li 0.000 0.000 0.000 1
Ti1 Ti 0.246 0.500 0.739 1
S1 S 0.132 0.000 0.467 1
S2 S 0.136 0.500 0.974 1
# energy relative to the elements: -1.6791 eV per atom
# E_tot: -6.28 eV per atom
# total energy after the MP2020 corrections: -92.00 eV for the cell shown


# Li2Ti2S5 (PBE-GGA, optimized geometry)
data_Li2Ti2S5
_symmetry_space_group_name_H-M 'C 1 2/c 1'
_symmetry_Int_Tables_number 15
_symmetry_space_group_name_Hall '-C 2yc'
_cell_length_a 10.551
_cell_length_b 6.227
_cell_length_c 11.918
_cell_angle_alpha 90.00
_cell_angle_beta 114.89
_cell_angle_gamma 90.00
loop_
_atom_site_label
_atom_site_type_symbol
_atom_site_fract_x
_atom_site_fract_y
_atom_site_fract_z
_atom_site_occupancy
Li1 Li 0.190 0.134 0.324 1
Ti1 Ti 0.088 0.339 0.942 1
S1 S 0.000 0.144 0.750 1
S2 S 0.083 0.396 0.138 1
S3 S 0.213 0.001 0.039 1
# energy relative to the elements: -1.5150 eV per atom
# size of the total moment: 0.0 μB/cell
# E_tot: -5.71 eV per atom
# total energy after the MP2020 corrections: -215.71 eV for the cell shown